This record from Materials Project describes a relaxed Na14Ga4Si9Sn4S3O48 crystal. The functional is PBE-GGA.

Unit cell a=9.0366 b=15.6283 c=22.0948 alpha=90.16 beta=90.20 gamma=90.06
With the nearest neighbours (Å) after each atom.
Space group P1 (No. 1)
Inequivalent atoms, fractional coordinates:
Na1 0.0000 0.0000 0.0000 x1  7 O 2.47-2.76
Na2 0.0002 0.3277 0.3433 x1  5 O 2.43-2.56
Na3 0.0031 0.0288 0.6725 x1  6 O 2.42-2.67
Na4 0.0408 0.6696 0.0009 x1  4 O 2.32-2.55
Na5 0.0494 0.3435 0.6712 x1  6 O 2.47-2.61
Na6 0.0562 0.0064 0.3466 x1  5 O 2.42-2.54
Na7 0.1749 0.8452 0.4255 x1  5 O 2.40-2.58
Na8 0.1835 0.5093 0.5890 x1  6 O 2.47-2.60
Na9 0.1852 0.1778 0.7548 x1  6 O 2.42-2.61
Na10 0.1873 0.1728 0.2555 x1  6 O 2.42-2.59
Na11 0.1866 0.5124 0.0826 x1  6 O 2.44-2.67
Na12 0.1906 0.8506 0.9165 x1  5 O 2.38-2.64
Na13 0.3076 0.0092 0.8414 x1  5 O 2.37-2.57
Na14 0.3141 0.6762 0.5133 x1  5 O 2.39-2.52
Na15 0.3281 0.3411 0.1658 x1  4 O 2.34-2.59
Na16 0.3616 0.9853 0.5030 x1  6 O 2.42-2.68
Na17 0.3627 0.0327 0.1737 x1  6 O 2.39-2.55
Na18 0.3634 0.3271 0.8333 x1  5 O 2.42-2.59
Na19 0.3725 0.6908 0.8263 x1  6 O 2.46-2.62
Na20 0.4892 0.1931 0.3313 x1  6 O 2.43-2.66
Na21 0.4990 0.5240 0.6703 x1  6 O 2.41-2.70
Na22 0.5015 0.4839 0.9974 x1  6 O 2.40-2.65
Na23 0.5016 0.8263 0.3464 x1  5 O 2.40-2.55
Na24 0.5357 0.8408 0.6661 x1  3 O 2.30-2.57
Na25 0.5497 0.1785 0.0083 x1  5 O 2.42-2.50
Na26 0.5553 0.5085 0.3457 x1  5 O 2.39-2.55
Na27 0.6747 0.3505 0.4207 x1  5 O 2.33-2.59
Na28 0.6753 0.6696 0.7539 x1  6 O 2.38-2.62
Na29 0.6759 0.0149 0.5849 x1  6 O 2.42-2.66
Na30 0.6854 0.6712 0.2586 x1  5 O 2.36-2.58
Na31 0.6883 0.0182 0.0848 x1  5 O 2.40-2.52
Na32 0.6882 0.3460 0.9199 x1  6 O 2.42-2.61
Na33 0.8050 0.5011 0.8384 x1  6 O 2.42-2.66
Na34 0.8233 0.1717 0.5095 x1  4 O 2.34-2.56
Na35 0.8257 0.8438 0.1708 x1  6 O 2.38-2.64
Na36 0.8605 0.5248 0.1737 x1  6 O 2.46-2.64
Na37 0.8642 0.8268 0.8389 x1  6 O 2.42-2.68
Na38 0.8668 0.4967 0.5066 x1  5 O 2.41-2.69
Na39 0.8735 0.8583 0.5038 x1  4 O 2.38-2.61
Na40 0.8771 0.1961 0.8321 x1  6 O 2.37-2.59
Na41 0.9847 0.6939 0.3390 x1  5 O 2.41-2.63
Na42 0.9905 0.3570 0.9990 x1  5 O 2.39-2.60
Ga1 0.1608 0.8537 0.2735 x1  4 O 1.86-2.01
Ga2 0.1619 0.1760 0.9066 x1  5 O 1.87-2.06
Ga3 0.1744 0.4880 0.9363 x1  4 O 1.84-1.97
Ga4 0.1846 0.1737 0.4047 x1  5 O 1.90-2.04
Ga5 0.2003 0.8399 0.5635 x1  5 O 1.89-2.09
Ga6 0.2055 0.8531 0.7701 x1  4 O 1.85-2.01
Ga7 0.6575 0.3547 0.2700 x1  4 O 1.86-1.98
Ga8 0.6645 0.3404 0.0628 x1  5 O 1.92-2.06
Ga9 0.6797 0.6722 0.9028 x1  5 O 1.90-2.10
Ga10 0.6862 0.3506 0.7671 x1  4 O 1.88-2.01
Ga11 0.6864 0.9912 0.4388 x1  4 O 1.85-1.97
Ga12 0.7002 0.6761 0.4078 x1  3 O 1.86-1.92
Si1 0.0303 0.3574 0.8356 x1  4 O 1.64-1.65
Si2 0.0310 0.0296 0.5017 x1  4 O 1.64-1.66
Si3 0.0318 0.9943 0.1722 x1  4 O 1.63-1.65
Si4 0.0336 0.3173 0.5025 x1  4 O 1.62-1.67
Si5 0.0453 0.6973 0.1727 x1  4 O 1.62-1.68
Si6 0.3234 0.3197 0.0017 x1  4 O 1.62-1.66
Si7 0.3230 0.7005 0.6701 x1  4 O 1.62-1.69
Si8 0.3284 0.0278 0.0022 x1  4 O 1.63-1.67
Si9 0.3276 0.3591 0.3363 x1  4 O 1.63-1.66
Si10 0.3294 0.9873 0.6675 x1  4 O 1.63-1.66
Si11 0.3881 0.0078 0.3391 x1  4 O 1.64-1.67
Si12 0.3986 0.3389 0.6737 x1  4 O 1.62-1.66
Si13 0.4743 0.5103 0.8421 x1  4 O 1.64-1.66
Si14 0.5341 0.4900 0.1670 x1  4 O 1.62-1.66
Si15 0.5363 0.8587 0.8368 x1  4 O 1.63-1.66
Si16 0.5365 0.5285 0.5002 x1  4 O 1.64-1.65
Si17 0.5404 0.8204 0.5013 x1  4 O 1.63-1.65
Si18 0.5420 0.2001 0.1702 x1  4 O 1.61-1.69
Si19 0.8186 0.1958 0.6718 x1  4 O 1.61-1.67
Si20 0.8244 0.8173 0.0028 x1  4 O 1.61-1.67
Si21 0.8265 0.8590 0.3360 x1  4 O 1.62-1.66
Si22 0.8319 0.4944 0.6725 x1  4 O 1.63-1.65
Si23 0.8362 0.5266 0.0008 x1  4 O 1.63-1.67
Si24 0.8822 0.5066 0.3348 x1  4 O 1.64-1.66
Si25 0.8849 0.1783 0.0032 x1  4 O 1.62-1.65
Si26 0.9786 0.6785 0.5026 x1  4 O 1.63-1.65
Si27 0.9816 0.0068 0.8360 x1  4 O 1.64-1.66
Sn1 0.1690 0.8446 0.0673 x1  6 O 2.00-2.22
Sn2 0.1752 0.1774 0.6098 x1  6 O 1.99-2.22
Sn3 0.1792 0.5006 0.4425 x1  5 O 2.00-2.06
Sn4 0.1825 0.5079 0.2338 x1  6 O 2.02-2.20
Sn5 0.1839 0.1724 0.1037 x1  5 O 2.00-2.14
Sn6 0.1911 0.5079 0.7329 x1  6 O 2.02-2.17
Sn7 0.6793 0.6720 0.6040 x1  5 O 2.00-2.12
Sn8 0.6801 0.0086 0.7341 x1  6 O 2.02-2.22
Sn9 0.6805 0.0128 0.2355 x1  5 O 2.01-2.09
Sn10 0.6834 0.0009 0.9420 x1  6 O 1.98-2.20
Sn11 0.6879 0.3464 0.5702 x1  5 O 1.97-2.10
Sn12 0.6986 0.6717 0.1051 x1  5 O 1.98-2.17
S1 0.0355 0.6546 0.8389 x1  4 O 1.48-1.50
S2 0.3282 0.6575 0.3363 x1  4 O 1.47-1.50
S3 0.3912 0.6786 0.0034 x1  4 O 1.47-1.50
S4 0.4698 0.8397 0.1716 x1  4 O 1.46-1.51
S5 0.4746 0.1759 0.5009 x1  4 O 1.48-1.49
S6 0.5349 0.1553 0.8389 x1  4 O 1.47-1.50
S7 0.8298 0.1565 0.3391 x1  4 O 1.47-1.51
S8 0.8948 0.8404 0.6711 x1  4 O 1.47-1.53
S9 0.9694 0.3401 0.1712 x1  4 O 1.46-1.53
O1 0.0024 0.1868 0.6716 x1  1 Si 1.67
O2 0.0082 0.8482 0.3327 x1  1 Si 1.65
O3 0.0091 0.8205 0.0037 x1  1 Si 1.67
O4 0.0117 0.5001 0.6778 x1  1 Si 1.63
O5 0.0182 0.5222 0.9934 x1  1 Si 1.65
O6 0.0426 0.4188 0.8958 x1  1 Si 1.64, 1 Ga 1.84
O7 0.0499 0.0909 0.5620 x1  1 Si 1.65
O8 0.0510 0.9343 0.1110 x1  1 Si 1.65
O9 0.0640 0.6004 0.7849 x1  1 S 1.48
O10 0.0655 0.4211 0.1715 x1  1 S 1.53
O11 0.0669 0.2591 0.4428 x1  1 Si 1.63
O12 0.0732 0.2657 0.1701 x1  1 S 1.49
O13 0.0801 0.7639 0.5112 x1  1 Si 1.63
O14 0.0796 0.9178 0.8290 x1  1 Si 1.66
O15 0.0812 0.7588 0.2302 x1  1 Si 1.62
O16 0.0852 0.5932 0.4964 x1  1 Si 1.65
O17 0.0872 0.0917 0.8417 x1  1 Si 1.64
O18 0.0937 0.4164 0.5017 x1  1 Si 1.64
O19 0.0995 0.6162 0.8945 x1  1 S 1.49
O20 0.1001 0.7416 0.8330 x1  1 S 1.48
O21 0.1025 0.2790 0.5648 x1  1 Si 1.62
O22 0.1034 0.5973 0.1736 x1  1 Si 1.65
O23 0.1026 0.9339 0.5096 x1  1 Si 1.64
O24 0.1111 0.7359 0.1090 x1  1 Si 1.65
O25 0.1129 0.0877 0.1687 x1  1 Si 1.63
O26 0.1144 0.4035 0.7784 x1  1 Si 1.65
O27 0.1136 0.9523 0.2309 x1  1 Si 1.63
O28 0.1155 0.0717 0.4430 x1  1 Si 1.65
O29 0.1152 0.2646 0.8411 x1  1 Si 1.65
O30 0.2436 0.0716 0.9451 x1  1 Si 1.63
O31 0.2464 0.2831 0.0647 x1  1 Si 1.66
O32 0.2473 0.3971 0.2741 x1  1 Si 1.66
O33 0.2487 0.9318 0.0076 x1  1 Si 1.67
O34 0.2500 0.2650 0.3450 x1  1 Si 1.64
O35 0.2497 0.4162 0.9994 x1  1 Si 1.65
O36 0.2529 0.9527 0.7298 x1  1 Si 1.64
O37 0.2536 0.0818 0.6622 x1  1 Si 1.63
O38 0.2584 0.6189 0.3905 x1  1 S 1.48
O39 0.2615 0.7433 0.3298 x1  1 S 1.48
O40 0.2615 0.7430 0.6084 x1  1 Si 1.62
O41 0.2628 0.6016 0.6741 x1  1 Si 1.64
O42 0.2798 0.0926 0.3436 x1  1 Si 1.65
O43 0.2852 0.2569 0.6686 x1  1 Si 1.64
O44 0.2897 0.9183 0.3324 x1  1 Si 1.66
O45 0.2909 0.7583 0.7309 x1  1 Si 1.64
O46 0.2917 0.2563 0.9449 x1  1 Si 1.62
O47 0.2926 0.4259 0.6740 x1  1 Si 1.66
O48 0.2928 0.6027 0.0019 x1  1 S 1.48
O49 0.2969 0.7570 0.0080 x1  1 S 1.50
O50 0.3025 0.6017 0.2817 x1  1 S 1.50
O51 0.3027 0.9274 0.6082 x1  1 Si 1.63
O52 0.3106 0.0809 0.0663 x1  1 Si 1.65
O53 0.3108 0.4313 0.3892 x1  1 Si 1.63
O54 0.3514 0.4923 0.1732 x1  1 Si 1.66
O55 0.3554 0.8474 0.8329 x1  1 Si 1.65
O56 0.3560 0.1927 0.1691 x1  1 Si 1.69
O57 0.3557 0.5250 0.4957 x1  1 Si 1.64
O58 0.3599 0.8306 0.5030 x1  1 Si 1.64
O59 0.3625 0.4990 0.9004 x1  1 Si 1.65
O60 0.3726 0.1629 0.8423 x1  1 S 1.47
O61 0.3757 0.5351 0.7814 x1  1 Si 1.65
O62 0.3766 0.8502 0.1164 x1  1 S 1.49
O63 0.3782 0.1632 0.5542 x1  1 S 1.48
O64 0.3837 0.8326 0.2274 x1  1 S 1.46
O65 0.3875 0.1858 0.4440 x1  1 S 1.49
O66 0.4775 0.6883 0.9477 x1  1 S 1.47
O67 0.4847 0.0300 0.2769 x1  1 Si 1.67
O68 0.4876 0.6670 0.0581 x1  1 S 1.50
O69 0.4904 0.6647 0.3401 x1  1 S 1.47
O70 0.4932 0.3299 0.7360 x1  1 Si 1.62
O71 0.5000 0.3589 0.6143 x1  1 Si 1.63
O72 0.5009 0.9932 0.3962 x1  1 Si 1.64
O73 0.5040 0.3307 0.0040 x1  1 Si 1.64
O74 0.5085 0.3483 0.3324 x1  1 Si 1.65
O75 0.5087 0.0243 0.9979 x1  1 Si 1.63
O76 0.5091 0.6943 0.6681 x1  1 Si 1.69
O77 0.5122 0.9899 0.6736 x1  1 Si 1.66
O78 0.5510 0.9294 0.8910 x1  1 Si 1.63
O79 0.5525 0.5839 0.5631 x1  1 Si 1.64
O80 0.5604 0.0997 0.7845 x1  1 S 1.50
O81 0.5648 0.4308 0.1080 x1  1 Si 1.62
O82 0.5650 0.9194 0.1716 x1  1 S 1.51
O83 0.5693 0.7642 0.1672 x1  1 S 1.49
O84 0.5701 0.2532 0.5050 x1  1 S 1.49
O85 0.5707 0.0988 0.4979 x1  1 S 1.49
O86 0.5727 0.7599 0.4428 x1  1 Si 1.63
O87 0.5738 0.4230 0.8373 x1  1 Si 1.64
O88 0.5768 0.2567 0.2314 x1  1 Si 1.64
O89 0.5836 0.5957 0.8456 x1  1 Si 1.66
O90 0.6013 0.0991 0.1735 x1  1 Si 1.67
O91 0.6010 0.1145 0.8938 x1  1 S 1.49
O92 0.6033 0.2425 0.1087 x1  1 Si 1.61
O93 0.6059 0.2396 0.8348 x1  1 S 1.47
O94 0.6084 0.5872 0.1627 x1  1 Si 1.66
O95 0.6132 0.4556 0.2291 x1  1 Si 1.64
O96 0.6139 0.9173 0.5000 x1  1 Si 1.65
O97 0.6154 0.5742 0.4421 x1  1 Si 1.64
O98 0.6163 0.7655 0.8449 x1  1 Si 1.64
O99 0.6172 0.8984 0.7758 x1  1 Si 1.66
O100 0.6190 0.4346 0.5048 x1  1 Si 1.65
O101 0.6189 0.7823 0.5631 x1  1 Si 1.65
O102 0.7451 0.7656 0.3401 x1  1 Si 1.64
O103 0.7474 0.5874 0.6682 x1  1 Si 1.65
O104 0.7477 0.5726 0.9454 x1  1 Si 1.63
O105 0.7484 0.9026 0.2752 x1  1 Si 1.66
O106 0.7513 0.4526 0.7312 x1  1 Si 1.63
O107 0.7557 0.0958 0.6730 x1  1 Si 1.66
O108 0.7564 0.7810 0.0669 x1  1 Si 1.65
O109 0.7567 0.2344 0.6075 x1  1 Si 1.64
O110 0.7620 0.4323 0.0097 x1  1 Si 1.63
O111 0.7629 0.1158 0.3925 x1  1 S 1.47
O112 0.7644 0.2424 0.3323 x1  1 S 1.48
O113 0.7668 0.9162 0.0027 x1  1 Si 1.63
O114 0.7771 0.5914 0.3408 x1  1 Si 1.64
O115 0.7782 0.0927 0.9972 x1  1 Si 1.65
O116 0.7837 0.2633 0.0118 x1  1 Si 1.62
O117 0.7844 0.4174 0.3282 x1  1 Si 1.66
O118 0.7853 0.2553 0.7299 x1  1 Si 1.61
O119 0.7912 0.7563 0.9452 x1  1 Si 1.61
O120 0.7916 0.7658 0.6697 x1  1 S 1.49
O121 0.7994 0.9210 0.6719 x1  1 S 1.53
O122 0.8066 0.1023 0.2833 x1  1 S 1.51
O123 0.8111 0.9230 0.3936 x1  1 Si 1.62
O124 0.8150 0.4366 0.6102 x1  1 Si 1.65
O125 0.8275 0.5865 0.0635 x1  1 Si 1.67
O126 0.8480 0.0243 0.4942 x1  1 Si 1.66
O127 0.8495 0.3223 0.5042 x1  1 Si 1.67
O128 0.8493 0.3469 0.8291 x1  1 Si 1.65
O129 0.8502 0.9963 0.1766 x1  1 Si 1.65
O130 0.8594 0.6926 0.1715 x1  1 Si 1.68
O131 0.8673 0.6529 0.5577 x1  1 Si 1.63
O132 0.8707 0.6621 0.8409 x1  1 S 1.50
O133 0.8745 0.0277 0.7773 x1  1 Si 1.65
O134 0.8783 0.9866 0.8958 x1  1 Si 1.65
O135 0.8803 0.3488 0.1162 x1  1 S 1.46
O136 0.8835 0.3348 0.2276 x1  1 S 1.47
O137 0.8870 0.6979 0.4402 x1  1 Si 1.64
O138 0.9781 0.1968 0.9418 x1  1 Si 1.62
O139 0.9819 0.8346 0.7277 x1  1 S 1.48
O140 0.9835 0.8494 0.6161 x1  1 S 1.47
O141 0.9868 0.5282 0.2753 x1  1 Si 1.66
O142 0.9888 0.4872 0.3934 x1  1 Si 1.64
O143 0.9940 0.1511 0.0595 x1  1 Si 1.64
O144 0.9941 0.1638 0.3416 x1  1 S 1.49

## Properties
Total magnetization ... 0.00 Bohr magnetons per cell
Calculated volume ... 3120.3 Å³/cell
Formation enthalpy at 0 K ... -2.46 eV per atom
Total energy ... -514.3 eV/f.u.
Crystal system ... triclinic